1.
ZnS after structural relaxation, computed with GGA-PBE.

Values from the calculation:
Calculated formation energy   -0.6460 eV per atom
Magnetic moment   0.000 μB/atom
SG   No. 1

a = 14.4183 Å, b = 12.6947 Å, c = 13.1454 Å
α = 89.89°, β = 84.86°, γ = 92.81°
Closest atoms and distances in Å follow each position.
Fractional coordinates of all 100 atoms:
S (0.2181, 0.2875, 0.5441)  3 Zn 2.27-2.39
S (0.0911, 0.1982, 0.8637)  4 Zn 2.34-2.45
S (0.9759, 0.2965, 0.5742)  3 Zn 2.28-2.46
S (0.8205, 0.8829, 0.1359)  2 Zn 2.29-2.32
S (0.0552, 0.8784, 0.1870)  3 Zn 2.26-2.39
S (0.3872, 0.7422, 0.4308)  3 Zn 2.26-2.31
S (0.2117, 0.9357, 0.9630)  2 Zn 2.19-2.26
S (0.5112, 0.1372, 0.7547)  4 Zn 2.36-2.44
S (0.2376, 0.1149, 0.3101)  3 Zn 2.31-2.42
S (0.6245, 0.0035, 0.5214)  2 S 2.08-2.10
S (0.7310, 0.2605, 0.6925)  3 Zn 2.35-2.42
S (0.3518, 0.3620, 0.8063)  3 Zn 2.29-2.40
S (0.9427, 0.7517, 0.6234)  4 Zn 2.34-2.42
S (0.1523, 0.7446, 0.7569)  3 Zn 2.25-2.31
S (0.6289, 0.6446, 0.3187)  3 Zn 2.27-2.44
S (0.1453, 0.4507, 0.8372)  4 Zn 2.37-2.45
S (0.7769, 0.6894, 0.8941)  4 Zn 2.37-2.49
S (0.8408, 0.4282, 0.3740)  3 Zn 2.23-2.44
S (0.5441, 0.7730, 0.6106)  4 Zn 2.31-2.55
S (0.3014, 0.6292, 0.9636)  3 Zn 2.22-2.36
S (0.2665, 0.2632, 0.0859)  4 Zn 2.29-2.48
S (0.5514, 0.5776, 0.8093)  1 S 2.13
S (0.5528, 0.9425, 0.9569)  1 S 2.10, 1 Zn 2.33
S (0.3775, 0.0394, 0.4996)  4 Zn 2.39-2.49
S (0.5600, 0.9567, 0.2904)  3 Zn 2.29-2.35
S (0.9574, 0.9146, 0.8935)  4 Zn 2.24-2.45
S (0.5982, 0.4434, 0.8830)  1 S 2.13
S (0.0219, 0.6623, 0.0274)  2 Zn 2.29-2.40
S (0.6953, 0.1451, 0.1129)  3 Zn 2.28-2.34
S (0.4184, 0.5170, 0.2109)  3 Zn 2.28-2.37
S (0.1871, 0.5984, 0.2840)  1 S 2.11, 1 Zn 2.35
S (0.1753, 0.5461, 0.5651)  4 Zn 2.30-2.42
S (0.4858, 0.3946, 0.6081)  1 S 2.09, 1 Zn 2.28
S (0.4566, 0.2788, 0.3148)  4 Zn 2.30-2.56
S (0.3810, 0.8010, 0.1457)  3 Zn 2.26-2.29
S (0.9184, 0.9935, 0.4375)  3 Zn 2.23-2.31
S (0.0990, 0.0317, 0.6034)  4 Zn 2.32-2.51
S (0.9919, 0.1742, 0.2062)  3 Zn 2.24-2.31
S (0.5697, 0.4870, 0.5012)  1 S 2.09
S (0.6831, 0.9525, 0.8708)  1 S 2.10
S (0.8549, 0.3581, 0.9326)  3 Zn 2.31-2.35
S (0.1572, 0.8300, 0.4426)  4 Zn 2.30-2.48
S (0.7645, 0.5194, 0.1231)  3 Zn 2.27-2.35
S (0.8324, 0.5064, 0.6882)  1 S 2.09
S (0.9616, 0.5084, 0.7497)  1 S 2.09
S (0.3535, 0.8857, 0.7342)  3 Zn 2.20-2.40
S (0.5120, 0.2753, 0.0258)  3 Zn 2.27-2.32
S (0.7372, 0.9945, 0.6115)  1 S 2.10, 1 Zn 2.29
S (0.0780, 0.4841, 0.3225)  1 S 2.11
S (0.6320, 0.1585, 0.4696)  1 S 2.08, 1 Zn 2.32
Zn (0.9308, 0.0887, 0.0704)  1 S 2.31, 2 Zn 2.46-2.57
Zn (0.1210, 0.7639, 0.2877)  3 S 2.26-2.35
Zn (0.0151, 0.8867, 0.5182)  4 S 2.31-2.48
Zn (0.6972, 0.9827, 0.1871)  3 S 2.28-2.31
Zn (0.5460, 0.1070, 0.0621)  3 S 2.27-2.51
Zn (0.1480, 0.1923, 0.1966)  3 S 2.24-2.31
Zn (0.4816, 0.2845, 0.8598)  3 S 2.27-2.36
Zn (0.6315, 0.6315, 0.6483)  2 S 2.32-2.40, 1 Zn 2.55
Zn (0.5030, 0.1088, 0.3709)  4 S 2.35-2.49
Zn (0.0629, 0.6341, 0.6605)  4 S 2.30-2.42
Zn (0.4499, 0.9609, 0.1749)  2 S 2.26-2.29, 1 Zn 2.49
Zn (0.9417, 0.5790, 0.3118)  2 S 2.37-2.44, 1 Zn 2.49
Zn (0.5153, 0.4709, 0.3311)  3 S 2.29-2.56
Zn (0.6411, 0.6241, 0.1422)  2 S 2.27-2.33, 2 Zn 2.46-2.54
Zn (0.4757, 0.6654, 0.1105)  2 S 2.27-2.37, 1 Zn 2.54
Zn (0.8536, 0.3959, 0.5401)  3 S 2.25-2.41
Zn (0.3858, 0.5318, 0.8544)  3 S 2.22-2.45
Zn (0.3160, 0.2430, 0.4083)  3 S 2.27-2.38
Zn (0.7482, 0.3909, 0.8165)  4 S 2.31-2.43
Zn (0.2185, 0.0080, 0.4640)  4 S 2.39-2.43
Zn (0.6912, 0.8237, 0.6552)  2 S 2.29-2.31, 2 Zn 2.48-2.55
Zn (0.0018, 0.3491, 0.8407)  4 S 2.35-2.47
Zn (0.8741, 0.1874, 0.7361)  1 S 2.42, 1 Zn 2.45
Zn (0.8718, 0.6049, 0.0054)  3 S 2.29-2.38
Zn (0.3349, 0.0653, 0.6848)  1 Zn 2.35, 2 S 2.40-2.48
Zn (0.6708, 0.0927, 0.7520)  4 S 2.36-2.39
Zn (0.8062, 0.8585, 0.9633)  4 S 2.32-2.58
Zn (0.6203, 0.6471, 0.9597)  2 S 2.38-2.44, 1 Zn 2.46
Zn (0.7963, 0.6872, 0.7043)  3 S 2.38-2.49, 2 Zn 2.48-2.61
Zn (0.0194, 0.8298, 0.7560)  3 S 2.24-2.34
Zn (0.4087, 0.3501, 0.1473)  4 S 2.28-2.54
Zn (0.7556, 0.5443, 0.3007)  3 S 2.23-2.35
Zn (0.9955, 0.0130, 0.2832)  3 S 2.23-2.29
Zn (0.8143, 0.1893, 0.9912)  2 S 2.29-2.31, 1 Zn 2.46
Zn (0.3593, 0.1169, 0.1380)  2 S 2.47-2.74, 1 Zn 2.49
Zn (0.1887, 0.1345, 0.7279)  2 S 2.34-2.51, 1 Zn 2.35
Zn (0.1572, 0.6282, 0.8911)  4 S 2.31-2.58
Zn (0.2298, 0.4128, 0.6745)  3 S 2.35-2.43
Zn (0.5702, 0.2479, 0.6120)  3 S 2.28-2.41
Zn (0.9426, 0.0968, 0.8740)  2 S 2.35-2.44, 3 Zn 2.45-2.62
Zn (0.2411, 0.6643, 0.4432)  4 S 2.28-2.48
Zn (0.3998, 0.8624, 0.5616)  4 S 2.31-2.55
Zn (0.1067, 0.4007, 0.4838)  4 S 2.35-2.46
Zn (0.3003, 0.8097, 0.0041)  3 S 2.19-2.35
Zn (0.2195, 0.3094, 0.9217)  4 S 2.40-2.45
Zn (0.9377, 0.7382, 0.2018)  1 S 2.39, 1 Zn 2.49
Zn (0.5177, 0.6642, 0.4683)  4 S 2.26-2.46
Zn (0.9910, 0.1259, 0.5247)  3 S 2.28-2.32
Zn (0.0743, 0.8429, 0.9948)  3 S 2.26-2.45
Zn (0.4656, 0.9596, 0.8171)  3 S 2.20-2.44

---

2.
ZnS after structural relaxation, computed with GGA-PBE.

Values from the calculation:
Calculated formation energy   -0.6251 eV per atom
Magnetic moment   0.000 μB/atom
SG   No. 1

a = 13.5855 Å, b = 13.1136 Å, c = 13.5417 Å
α = 85.01°, β = 88.43°, γ = 93.41°
Closest atoms and distances in Å follow each position.
Fractional coordinates of all 100 atoms:
Zn (0.9857, 0.5165, 0.5311)  1 S 2.43, 3 Zn 2.60-2.63
Zn (0.2812, 0.6716, 0.5502)  2 S 2.34-2.50, 1 Zn 2.41
Zn (0.8161, 0.5334, 0.7249)  3 S 2.24-2.35
Zn (0.1654, 0.4332, 0.5950)  2 S 2.46-2.55, 3 Zn 2.50-2.62
Zn (0.4516, 0.1653, 0.3439)  2 S 2.32-2.47, 1 Zn 2.36
Zn (0.6542, 0.4260, 0.8957)  2 S 2.19-2.21
Zn (0.2317, 0.3967, 0.9774)  3 S 2.26-2.31
Zn (0.6413, 0.5954, 0.2373)  3 S 2.24-2.31
Zn (0.8367, 0.7538, 0.0124)  2 S 2.40-2.43, 1 Zn 2.45
Zn (0.4274, 0.5058, 0.4100)  2 S 2.23-2.26
Zn (0.6152, 0.7040, 0.8447)  3 S 2.25-2.35
Zn (0.6449, 0.3288, 0.2553)  4 S 2.33-2.43
Zn (0.3517, 0.0104, 0.5663)  4 S 2.29-2.57
Zn (0.7959, 0.7835, 0.2783)  3 S 2.24-2.33
Zn (0.9894, 0.7099, 0.4680)  3 S 2.39-2.63, 1 Zn 2.60
Zn (0.1204, 0.8773, 0.9685)  4 S 2.55-2.59, 1 Zn 2.63
Zn (0.5841, 0.3261, 0.5334)  3 S 2.21-2.37
Zn (0.7657, 0.1673, 0.3753)  3 S 2.23-2.34
Zn (0.9307, 0.9690, 0.5420)  3 S 2.29-2.30
Zn (0.7883, 0.2598, 0.7647)  3 S 2.26-2.38
Zn (0.8538, 0.9863, 0.2853)  3 S 2.27-2.40
Zn (0.4221, 0.8985, 0.7661)  4 S 2.35-2.52
Zn (0.0604, 0.0939, 0.0959)  3 S 2.30-2.42
Zn (0.0004, 0.3585, 0.6602)  2 S 2.33-2.51, 1 Zn 2.50
Zn (0.0168, 0.0738, 0.7823)  4 S 2.36-2.46
Zn (0.6358, 0.9267, 0.9430)  3 S 2.28-2.37
Zn (0.2424, 0.4913, 0.1848)  3 S 2.24-2.38
Zn (0.0889, 0.5577, 0.3641)  3 S 2.33-2.50
Zn (0.3118, 0.6790, 0.9772)  4 S 2.34-2.62
Zn (0.5587, 0.2336, 0.8228)  3 S 2.26-2.43
Zn (0.8290, 0.4143, 0.1843)  3 S 2.25-2.35
Zn (0.1220, 0.9139, 0.6880)  3 S 2.28-2.38
Zn (0.5751, 0.0660, 0.6690)  3 S 2.21-2.41
Zn (0.0167, 0.8250, 0.1335)  2 S 2.43-2.62, 2 Zn 2.61-2.63
Zn (0.0438, 0.4250, 0.1617)  4 S 2.35-2.49
Zn (0.5180, 0.0841, 0.0120)  2 S 2.20-2.29
Zn (0.2822, 0.0976, 0.9129)  4 S 2.31-2.51
Zn (0.2924, 0.2919, 0.6216)  1 S 2.35, 2 Zn 2.49-2.62
Zn (0.4490, 0.4595, 0.1752)  4 S 2.25-2.51
Zn (0.9289, 0.7748, 0.7268)  3 S 2.27-2.31
Zn (0.1081, 0.5864, 0.8169)  4 S 2.28-2.41
Zn (0.8339, 0.1450, 0.0694)  1 Zn 2.43, 3 S 2.44-2.54
Zn (0.9585, 0.2714, 0.9947)  1 Zn 2.43, 2 S 2.53-2.70
Zn (0.2462, 0.3505, 0.4499)  3 S 2.38-2.53, 2 Zn 2.49-2.58
Zn (0.4502, 0.2145, 0.1723)  2 S 2.31-2.42, 1 Zn 2.36
Zn (0.1879, 0.8970, 0.1888)  2 S 2.28-2.31
Zn (0.2150, 0.1867, 0.3147)  3 S 2.28-2.53
Zn (0.3788, 0.6630, 0.6960)  2 S 2.29-2.49, 1 Zn 2.41
Zn (0.9738, 0.6414, 0.0060)  1 Zn 2.45, 2 S 2.46-2.48
Zn (0.6315, 0.8981, 0.1778)  4 S 2.29-2.51
S (0.3238, 0.1554, 0.4617)  3 Zn 2.32-2.53
S (0.3136, 0.3592, 0.2777)  4 Zn 2.32-2.56
S (0.1445, 0.6875, 0.9412)  3 Zn 2.28-2.48
S (0.6490, 0.2251, 0.6671)  4 Zn 2.26-2.43
S (0.2416, 0.5277, 0.7255)  1 S 2.23, 3 Zn 2.37-2.49
S (0.3054, 0.9086, 0.9290)  1 S 2.12
S (0.9407, 0.6123, 0.8042)  3 Zn 2.28-2.33
S (0.4449, 0.7250, 0.8343)  3 Zn 2.29-2.42
S (0.4200, 0.3203, 0.8299)  1 S 2.11, 1 Zn 2.26
S (0.0922, 0.2687, 0.4121)  1 S 2.10
S (0.9104, 0.9857, 0.1243)  3 Zn 2.29-2.46
S (0.8387, 0.4249, 0.6083)  3 Zn 2.24-2.51
S (0.4687, 0.4338, 0.5570)  2 Zn 2.21-2.23
S (0.6706, 0.0420, 0.0632)  4 Zn 2.29-2.54
S (0.9573, 0.7720, 0.3019)  3 Zn 2.24-2.43
S (0.6113, 0.2243, 0.4079)  4 Zn 2.29-2.47
S (0.0106, 0.3836, 0.3429)  1 S 2.10
S (0.6529, 0.5540, 0.7784)  3 Zn 2.21-2.35
S (0.9008, 0.0831, 0.4088)  3 Zn 2.23-2.30
S (0.3442, 0.5119, 0.0374)  4 Zn 2.30-2.45
S (0.2293, 0.9039, 0.4698)  2 S 2.06-2.12
S (0.1427, 0.7878, 0.5567)  1 S 2.12
S (0.2767, 0.9760, 0.7203)  3 Zn 2.28-2.35
S (0.3692, 0.1236, 0.0568)  3 Zn 2.20-2.35
S (0.6996, 0.2682, 0.9161)  3 Zn 2.19-2.37
S (0.2486, 0.7617, 0.2850)  1 S 2.06
S (0.2423, 0.5434, 0.4448)  4 Zn 2.34-2.55
S (0.3291, 0.8256, 0.3929)  2 S 2.06
S (0.7873, 0.2374, 0.2105)  4 Zn 2.34-2.44
S (0.1562, 0.4118, 0.8302)  1 S 2.23, 2 Zn 2.26-2.41
S (0.9497, 0.2384, 0.7914)  3 Zn 2.26-2.40
S (0.1128, 0.0705, 0.9340)  4 Zn 2.31-2.55
S (0.1137, 0.5899, 0.1929)  3 Zn 2.24-2.39
S (0.9188, 0.4600, 0.0438)  3 Zn 2.25-2.46
S (0.5326, 0.0286, 0.8429)  4 Zn 2.37-2.52
S (0.8773, 0.7991, 0.5688)  3 Zn 2.27-2.44
S (0.7385, 0.8181, 0.8762)  3 Zn 2.25-2.43
S (0.5594, 0.3602, 0.1103)  3 Zn 2.25-2.42
S (0.7101, 0.7370, 0.1408)  4 Zn 2.31-2.51
S (0.4753, 0.5996, 0.2667)  3 Zn 2.26-2.32
S (0.1492, 0.0532, 0.2350)  3 Zn 2.28-2.30
S (0.0545, 0.0605, 0.6131)  3 Zn 2.29-2.36
S (0.5106, 0.8196, 0.0673)  1 S 2.13
S (0.7375, 0.4770, 0.3051)  3 Zn 2.24-2.41
S (0.3549, 0.8320, 0.0614)  2 S 2.12-2.13
S (0.6947, 0.9043, 0.3324)  3 Zn 2.29-2.40
S (0.0053, 0.8875, 0.8231)  4 Zn 2.28-2.55
S (0.3452, 0.1991, 0.7651)  1 S 2.11, 1 Zn 2.35
S (0.1194, 0.2975, 0.0811)  3 Zn 2.31-2.53
S (0.5032, 0.9366, 0.5986)  2 Zn 2.21-2.36

---

3.
ZnS after structural relaxation, computed with GGA-PBE.

Values from the calculation:
Calculated formation energy   -0.5898 eV per atom
Magnetic moment   0.000 μB/atom
SG   No. 1

a = 13.3614 Å, b = 14.0248 Å, c = 13.0498 Å
α = 99.83°, β = 91.91°, γ = 89.16°
Closest atoms and distances in Å follow each position.
Fractional coordinates of all 100 atoms:
Zn (0.0816, 0.1997, 0.8353)  1 S 2.35, 4 Zn 2.47-2.58
Zn (0.0944, 0.3638, 0.1226)  1 S 2.26, 1 Zn 2.34
Zn (0.1314, 0.7554, 0.3163)  3 S 2.26-2.33
Zn (0.4145, 0.6677, 0.1447)  4 S 2.32-2.43
Zn (0.5329, 0.8792, 0.0569)  2 S 2.34-2.46, 1 Zn 2.56
Zn (0.7216, 0.1640, 0.8420)  4 S 2.32-2.47
Zn (0.4965, 0.1079, 0.7895)  3 S 2.33-2.36
Zn (0.8066, 0.9322, 0.9579)  2 S 2.28-2.33, 1 Zn 2.43
Zn (0.1963, 0.9310, 0.4577)  3 S 2.29-2.43
Zn (0.1353, 0.8884, 0.9617)  1 Zn 2.37, 2 S 2.39-2.44
Zn (0.2800, 0.1982, 0.5360)  4 S 2.33-2.51
Zn (0.3702, 0.8758, 0.6479)  3 S 2.39-2.43, 2 Zn 2.54-2.60
Zn (0.4813, 0.2906, 0.5024)  3 S 2.28-2.42
Zn (0.5344, 0.6153, 0.7168)  2 S 2.25-2.33, 1 Zn 2.50
Zn (0.3454, 0.7066, 0.5455)  3 S 2.28-2.47, 1 Zn 2.54
Zn (0.5082, 0.4473, 0.8840)  4 S 2.31-2.54
Zn (0.7604, 0.3132, 0.5319)  2 S 2.34-2.48, 2 Zn 2.54-2.56
Zn (0.7309, 0.5549, 0.9542)  3 S 2.29-2.39
Zn (0.4249, 0.7077, 0.8509)  2 S 2.33-2.36, 2 Zn 2.50-2.51
Zn (0.2542, 0.7581, 0.7221)  2 S 2.38-2.43, 2 Zn 2.60-2.63
Zn (0.6008, 0.4951, 0.1462)  3 S 2.23-2.43
Zn (0.8153, 0.3762, 0.2878)  3 S 2.35
Zn (0.9002, 0.8633, 0.0905)  1 S 2.40, 1 Zn 2.43
Zn (0.9368, 0.7729, 0.5823)  4 S 2.32-2.44
Zn (0.9258, 0.4018, 0.8895)  4 S 2.38-2.45
Zn (0.2998, 0.9576, 0.2353)  1 Zn 2.38, 2 S 2.39-2.49
Zn (0.4124, 0.9061, 0.9081)  2 S 2.40, 2 Zn 2.56-2.68
Zn (0.8613, 0.1105, 0.2701)  4 S 2.34-2.46
Zn (0.0845, 0.3141, 0.7111)  1 S 2.22, 1 Zn 2.47
Zn (0.0701, 0.9755, 0.1170)  1 S 2.25, 1 Zn 2.37
Zn (0.5454, 0.0919, 0.5572)  3 S 2.21-2.33
Zn (0.2348, 0.4868, 0.6011)  3 S 2.21-2.31
Zn (0.0108, 0.6188, 0.8221)  4 S 2.42-2.54
Zn (0.2248, 0.4979, 0.9767)  3 S 2.29-2.35
Zn (0.8051, 0.4902, 0.5308)  3 S 2.27-2.46
Zn (0.1998, 0.0822, 0.7402)  2 S 2.31-2.43, 1 Zn 2.47
Zn (0.7305, 0.9069, 0.6817)  3 S 2.26-2.37
Zn (0.0235, 0.0320, 0.8235)  2 S 2.36-2.42, 1 Zn 2.47
Zn (0.2498, 0.2852, 0.8257)  1 S 2.28
Zn (0.6569, 0.1438, 0.0781)  3 S 2.23-2.36
Zn (0.5022, 0.8739, 0.3625)  4 S 2.34-2.46
Zn (0.3906, 0.0932, 0.3252)  2 S 2.28-2.38, 1 Zn 2.38
Zn (0.1312, 0.6279, 0.5170)  4 S 2.32-2.46
Zn (0.9199, 0.2235, 0.6986)  2 S 2.35-2.37, 1 Zn 2.54
Zn (0.7442, 0.7688, 0.4706)  3 S 2.23-2.31
Zn (0.5760, 0.8079, 0.8345)  1 S 2.23
Zn (0.9200, 0.1692, 0.0599)  4 S 2.30-2.46
Zn (0.7419, 0.4292, 0.7021)  3 S 2.41-2.48, 2 Zn 2.54-2.69
Zn (0.1182, 0.4926, 0.2612)  2 S 2.31-2.34, 1 Zn 2.34
Zn (0.5653, 0.6154, 0.3644)  3 S 2.27-2.44
S (0.0882, 0.7831, 0.4901)  3 Zn 2.32-2.41
S (0.0067, 0.5460, 0.3902)  1 S 2.13, 1 Zn 2.31
S (0.1756, 0.3382, 0.5790)  3 Zn 2.21-2.39
S (0.7716, 0.9650, 0.2327)  1 S 2.10, 1 Zn 2.35
S (0.3477, 0.2491, 0.3916)  3 Zn 2.28-2.34
S (0.3530, 0.8496, 0.4592)  4 Zn 2.37-2.47
S (0.8547, 0.5062, 0.1086)  2 S 2.08-2.13
S (0.0060, 0.2832, 0.9846)  4 Zn 2.26-2.45
S (0.6426, 0.0568, 0.6973)  4 Zn 2.32-2.43
S (0.9732, 0.6024, 0.1349)  2 S 2.05-2.08
S (0.9402, 0.4164, 0.4188)  1 S 2.13, 1 Zn 2.35
S (0.5767, 0.1896, 0.9416)  3 Zn 2.23-2.36
S (0.3526, 0.3905, 0.9304)  3 Zn 2.28-2.37
S (0.3571, 0.0096, 0.7879)  4 Zn 2.33-2.43
S (0.0174, 0.1231, 0.1917)  3 Zn 2.25-2.38
S (0.5626, 0.4570, 0.7179)  3 Zn 2.25-2.43
S (0.6316, 0.7576, 0.3393)  3 Zn 2.23-2.35
S (0.5475, 0.8347, 0.6397)  1 S 2.08
S (0.7942, 0.3024, 0.8044)  4 Zn 2.32-2.48
S (0.4326, 0.8340, 0.1838)  4 Zn 2.32-2.49
S (0.5461, 0.0371, 0.3880)  3 Zn 2.21-2.38
S (0.6460, 0.4225, 0.9889)  3 Zn 2.23-2.31
S (0.8162, 0.1583, 0.5531)  1 S 2.11, 1 Zn 2.34
S (0.1387, 0.9058, 0.2764)  3 Zn 2.26-2.43
S (0.4619, 0.5420, 0.2329)  3 Zn 2.24-2.33
S (0.6174, 0.3409, 0.4141)  1 S 2.10
S (0.6805, 0.9824, 0.1027)  1 S 2.10
S (0.4394, 0.2098, 0.6449)  3 Zn 2.33-2.51
S (0.1538, 0.6170, 0.6981)  4 Zn 2.31-2.54
S (0.0842, 0.4710, 0.8651)  3 Zn 2.33-2.42
S (0.5271, 0.6910, 0.5713)  1 S 2.08, 1 Zn 2.33
S (0.2384, 0.6440, 0.0942)  1 S 2.12, 1 Zn 2.35
S (0.6211, 0.6921, 0.9908)  1 S 2.08
S (0.1722, 0.0764, 0.5639)  3 Zn 2.29-2.33
S (0.8437, 0.5376, 0.8240)  4 Zn 2.29-2.52
S (0.2237, 0.6221, 0.2497)  1 S 2.12, 2 Zn 2.28-2.34
S (0.6345, 0.4913, 0.4576)  1 S 2.10
S (0.7826, 0.2304, 0.1746)  4 Zn 2.30-2.46
S (0.9583, 0.7009, 0.0356)  1 S 2.05
S (0.2805, 0.7922, 0.9100)  4 Zn 2.33-2.43
S (0.7608, 0.5231, 0.2395)  1 S 2.13, 1 Zn 2.35
S (0.2902, 0.5576, 0.4675)  3 Zn 2.28-2.39
S (0.0822, 0.8711, 0.7787)  1 S 2.09
S (0.9634, 0.7749, 0.7685)  1 S 2.09
S (0.8994, 0.2012, 0.4343)  1 S 2.11, 1 Zn 2.34
S (0.8148, 0.6545, 0.5598)  3 Zn 2.27-2.32
S (0.8351, 0.9016, 0.5480)  3 Zn 2.26-2.34
S (0.4857, 0.6198, 0.9790)  1 S 2.08
S (0.7404, 0.8270, 0.8206)  3 Zn 2.23-2.29
S (0.8633, 0.0710, 0.9031)  4 Zn 2.33-2.47